Below is a relaxed structure of Na14Zn4Si7Ge4S5O48, with properties calculated at the GGA-PBE level.

Output
- V (Å³/atom) = 12.4
- ΔE_f (meV/atom) = -2291

abc: 17.916 8.975 21.985
angles: 90.20 88.57 120.01
Element x y z (fractional)
O 0.421 0.538 0.747
Ge 0.186 0.693 0.313
O 0.750 0.631 0.859
Na 0.502 0.997 0.500
Na 0.166 0.669 0.170
O 0.759 0.694 0.980
Na 0.328 0.323 0.826
Zn 0.832 0.344 0.982
Na 0.189 0.008 0.751
Zn 0.677 0.696 0.311
O 0.519 0.827 0.417
Na 0.651 0.971 0.088
O 0.579 0.683 0.472
O 0.248 0.373 0.140
O 0.314 0.140 0.135
O 0.753 0.836 0.753
O 0.247 0.128 0.918
O 0.259 0.826 0.480
Si 0.311 0.954 0.419
Zn 0.170 0.660 0.807
O 0.507 0.192 0.195
Na 0.672 0.043 0.413
O 0.079 0.470 0.251
O 0.582 0.648 0.077
O 0.347 0.169 0.747
Na 0.682 0.008 0.752
O 0.920 0.531 0.744
O 0.021 0.824 0.415
O 0.146 0.466 0.749
O 0.670 0.476 0.360
S 0.679 0.334 0.082
Si 0.179 0.324 0.084
Na 0.826 0.321 0.332
O 0.318 0.506 0.922
Na 0.853 0.041 0.913
O 0.092 0.008 0.590
O 0.494 0.166 0.589
S 0.027 0.387 0.920
O 0.822 0.156 0.424
O 0.252 0.670 0.253
O 0.819 0.111 0.136
O 0.176 0.506 0.077
O 0.935 0.367 0.645
O 0.578 0.969 0.914
Si 0.980 0.624 0.082
Na 0.836 0.979 0.579
S 0.334 0.633 0.582
Zn 0.333 0.324 0.481
O 0.574 0.455 0.249
S 0.001 0.291 0.250
O 0.488 0.779 0.811
S 0.523 0.385 0.916
Na 0.169 0.056 0.410
Na 0.481 0.672 0.922
Zn 0.990 0.997 0.842
O 0.674 0.497 0.076
O 0.580 0.982 0.188
Na 0.826 0.336 0.831
O 0.432 0.499 0.142
O 0.079 0.688 0.472
O 0.266 0.685 0.976
O 0.082 0.191 0.414
O 0.592 0.179 0.088
O 0.089 0.967 0.919
O 0.754 0.137 0.917
O 0.083 0.667 0.074
Na 0.853 0.674 0.418
O 0.741 0.167 0.239
O 0.481 0.190 0.307
O 0.644 0.822 0.247
Na 0.356 0.044 0.916
O 0.846 0.520 0.246
O 0.356 0.139 0.017
Na 0.335 0.690 0.086
O 0.991 0.199 0.308
Ge 0.010 0.976 0.152
Na 0.660 0.339 0.578
Na 0.995 0.996 0.497
O 0.905 0.052 0.811
S 0.026 0.665 0.416
O 0.922 0.555 0.022
Na 0.476 0.285 0.420
O 0.396 0.820 0.917
O 0.587 0.204 0.418
Si 0.857 0.712 0.251
Si 0.358 0.000 0.753
O 0.906 0.846 0.916
Si 0.842 0.631 0.582
O 0.149 0.464 0.478
Na 0.663 0.662 0.171
Ge 0.990 0.007 0.649
Zn 0.830 0.320 0.494
O 0.760 0.691 0.247
O 0.761 0.830 0.479
Si 0.483 0.345 0.581
Zn 0.333 0.327 0.005
Si 0.643 0.005 0.249
O 0.107 0.165 0.812
O 0.409 0.968 0.691
O 0.496 0.823 0.091
O 0.515 0.212 0.916
O 0.582 0.011 0.601
O 0.077 0.693 0.750
Zn 0.337 0.325 0.683
O 0.091 0.951 0.191
O 0.985 0.775 0.809
Na 0.974 0.668 0.920
O 0.924 0.832 0.594
Zn 0.836 0.346 0.185
O 0.817 0.490 0.638
O 0.009 0.823 0.697
O 0.247 0.175 0.238
O 0.717 0.301 0.026
O 0.566 0.488 0.860
O 0.083 0.519 0.578
Si 0.143 0.280 0.750
O 0.175 0.867 0.861
O 0.242 0.315 0.740
O 0.926 0.292 0.524
Si 0.665 0.952 0.914
O 0.084 0.153 0.099
O 0.252 0.650 0.581
O 0.915 0.795 0.310
Si 0.852 0.010 0.750
S 0.494 0.283 0.248
O 0.998 0.172 0.592
O 0.994 0.826 0.089
Na 0.502 0.006 0.001
O 0.676 0.847 0.855
Ge 0.662 0.674 0.016
Ge 0.676 0.680 0.529
O 0.447 0.377 0.644
O 0.709 0.152 0.525
Na 0.337 0.982 0.580
O 0.943 0.515 0.144
Si 0.482 0.623 0.083
O 0.341 0.500 0.240
Na 0.167 0.285 0.915
Na 0.689 0.371 0.255
O 0.412 0.026 0.814
O 0.340 0.548 0.526
O 0.405 0.966 0.416
O 0.173 0.853 0.577
O 0.855 0.559 0.518
Ge 0.510 0.050 0.650
Ge 0.489 0.974 0.151
O 0.319 0.142 0.420
Ge 0.168 0.666 0.030
Na 0.666 0.664 0.666
O 0.154 0.812 0.259
S 0.996 0.706 0.750
Si 0.656 0.314 0.751
O 0.646 0.831 0.977
O 0.069 0.643 0.360
O 0.749 0.323 0.738
O 0.908 0.009 0.083
Na 0.151 0.332 0.584
O 0.907 0.847 0.189
O 0.746 0.120 0.642
S 0.666 0.379 0.416
O 0.250 0.869 0.360
S 0.180 0.026 0.583
O 0.746 0.367 0.417
O 0.018 0.205 0.197
O 0.406 0.762 0.310
O 0.655 0.499 0.759
O 0.233 0.101 0.637
O 0.116 0.049 0.311
O 0.516 0.827 0.700
Na 0.975 0.276 0.423
O 0.755 0.890 0.358
O 0.421 0.289 0.523
O 0.262 0.827 0.749
O 0.084 0.478 0.973
Na 0.499 0.633 0.253
Si 0.678 0.032 0.585
O 0.841 0.184 0.740
O 0.560 0.639 0.360
O 0.750 0.853 0.079
Si 0.351 0.693 0.250
Si 0.811 0.964 0.418
O 0.819 0.496 0.919
O 0.252 0.844 0.078
S 0.525 0.667 0.418
Na 0.181 0.354 0.256
O 0.436 0.515 0.424
O 0.320 0.529 0.638
O 0.214 0.275 0.022
Ge 0.827 0.322 0.678
Si 0.811 0.669 0.919
Ge 0.327 0.330 0.180
O 0.161 0.851 0.974
Ge 0.688 0.682 0.812
Na 0.328 0.318 0.333
O 0.021 0.215 0.919
O 0.577 0.469 0.972
Na 0.355 0.667 0.413
S 0.501 0.710 0.752
Na 0.999 0.002 0.001
O 0.218 0.136 0.528
Na 0.836 0.695 0.084
O 0.256 0.375 0.418
Si 0.983 0.343 0.584
O 0.922 0.302 0.244
O 0.178 0.507 0.354
O 0.656 0.464 0.473
Na 0.158 0.978 0.083
O 0.578 0.686 0.753
O 0.437 0.370 0.920
S 0.310 0.662 0.918
Na 0.311 0.624 0.743
S 0.833 0.034 0.080
O 0.066 0.488 0.863
O 0.079 0.177 0.691
O 0.674 0.844 0.580
Zn 0.492 0.984 0.345
O 0.392 0.814 0.189
Si 0.154 0.999 0.252
O 0.586 0.505 0.572
O 0.425 0.560 0.022
O 0.622 0.193 0.811
O 0.895 0.972 0.690
O 0.839 0.131 0.024
Si 0.341 0.046 0.082
Si 0.167 0.381 0.414
Zn 0.001 0.003 0.351
O 0.418 0.307 0.242
Ge 0.160 0.651 0.515
Na 0.163 0.664 0.668
Na 0.498 0.363 0.743
O 0.589 0.231 0.694
O 0.605 0.048 0.310
O 0.904 0.971 0.419
O 0.259 0.643 0.864
Na 0.996 0.633 0.248
Zn 0.511 0.014 0.844
O 0.733 0.365 0.136
O 0.940 0.510 0.419
O 0.940 0.365 0.925
Na 0.998 0.362 0.748
S 0.168 0.953 0.917
O 0.409 0.809 0.585
Na 0.670 0.287 0.911
Na 0.809 0.995 0.253
O 0.752 0.652 0.581
O 0.423 0.013 0.094